# Re2NiO6

A geometry-optimized Re2NiO6 structure (PBE with a Hubbard U, the Materials Project).

```
18
Lattice="4.763 0.000 0.000 0.000 4.763 0.000 0.000 0.000 8.487" Properties=species:S:1:pos:R:3 pbc="T T T"
O 3.759 1.004 2.751
O 3.424 3.424 4.244
O 1.378 1.378 6.994
O 1.004 3.759 2.751
O 1.339 1.339 4.244
O 3.720 1.042 0.000
O 1.004 3.759 5.736
O 3.385 3.385 1.493
O 3.759 1.004 5.736
O 1.378 1.378 1.493
O 1.042 3.720 0.000
O 3.385 3.385 6.994
Ni 0.000 0.000 4.244
Ni 2.381 2.381 0.000
Re 0.000 0.000 1.298
Re 2.381 2.381 2.945
Re 2.381 2.381 5.542
Re 0.000 0.000 7.189
```

Summary:
The energy relative to the lowest polymorph listed for this composition is 25 meV/atom. The space group is P4_2/mnm.

# Sr4Re2NiO12

A geometry-optimized Sr4Re2NiO12 structure (PBE with a Hubbard U, the Materials Project).

```
76
Lattice="5.362 0.008 7.971 -5.849 9.536 0.000 -7.773 -4.768 3.272" Properties=species:S:1:pos:R:3 pbc="T T T"
O -0.412 1.456 8.214
O -1.716 0.629 3.953
O -6.066 7.722 3.953
O -2.377 1.823 6.451
O -5.423 8.088 1.393
O -4.923 -1.448 3.029
O -3.458 7.722 3.156
O -9.989 5.397 5.589
O -2.194 -2.945 7.289
O -6.084 -3.732 3.812
O -4.802 -2.945 8.087
O -2.176 8.508 7.430
O -5.302 6.591 6.451
O -0.534 2.954 3.156
O 1.729 -0.621 5.653
O -1.098 1.036 1.393
O -1.196 4.147 5.653
O -9.009 1.036 3.812
O 0.230 1.823 5.653
O -5.883 2.954 4.792
O -4.023 5.804 1.393
O -5.566 -1.814 5.589
O -7.065 0.629 5.589
O -2.837 -3.312 9.850
O -1.813 3.740 8.214
O -5.762 1.456 9.850
O -6.585 5.804 2.176
O -4.600 3.740 9.066
O -2.958 -1.814 4.792
O -6.545 4.147 7.289
O -4.640 5.397 3.953
O -3.141 2.954 3.953
O -7.848 3.320 3.029
O -5.119 1.823 7.289
O 0.749 3.740 7.430
O -2.499 3.320 1.393
O -7.726 1.823 8.087
O -7.162 3.740 9.850
O -4.238 -1.028 9.850
O -2.695 6.591 5.653
O -3.660 1.036 2.176
O -9.372 5.804 3.029
O -1.676 -1.028 9.066
O -8.490 2.954 5.589
O -3.337 6.224 8.214
O 1.111 -1.028 8.214
O -6.447 1.036 3.029
O -3.620 -0.621 7.289
Sr -1.022 -0.627 6.221
Sr -7.238 5.403 5.022
Sr -5.994 6.167 9.091
Sr -10.540 3.378 3.787
Sr -3.947 4.141 6.221
Sr -2.267 -1.390 2.151
Sr -6.371 -0.627 7.857
Sr -4.313 0.635 5.022
Sr -3.069 1.399 9.091
Sr -7.616 -1.390 3.787
Sr 2.280 1.399 7.455
Sr -9.296 4.141 7.857
Sr -0.645 6.167 7.455
Sr 1.036 0.635 3.386
Sr -5.191 3.378 2.151
Sr -1.889 5.403 3.386
Re -2.079 2.006 2.766
Re -3.257 -1.998 8.477
Re -7.428 2.006 4.402
Re -3.757 7.539 6.841
Re -0.832 2.770 6.841
Re -4.503 -2.762 4.402
Re -5.003 6.774 2.766
Re -6.181 2.770 8.477
Ni -2.925 4.768 0.000
Ni 0.000 0.000 0.000
Ni -8.274 4.768 1.636
Ni -5.349 0.000 1.636
```

# Sr2ReNiO6

A geometry-optimized Sr2ReNiO6 structure (PBE with a Hubbard U, the Materials Project).

```
10
Lattice="-2.797 2.797 4.028 2.797 -2.797 4.028 2.797 2.797 -4.028" Properties=species:S:1:pos:R:3 pbc="T T T"
O 0.000 0.000 2.087
O 1.208 1.688 0.000
O -1.109 1.589 4.028
O 3.907 1.208 0.000
O 1.589 1.109 4.028
O 0.000 0.000 5.968
Sr 0.000 2.797 2.014
Sr 2.797 0.000 2.014
Re 0.000 0.000 4.028
Ni 0.000 0.000 0.000
```

Summary:
The space group is I4/m.

# Sm2NiRuO6

A geometry-optimized Sm2NiRuO6 structure (PBE with a Hubbard U, the Materials Project).

```
20
Lattice="-3.568 -4.152 1.873 2.464 -3.563 -3.205 7.415 -5.229 2.535" Properties=species:S:1:pos:R:3 pbc="T T T"
Ni 4.940 -4.396 -0.335
Ni -0.552 -3.858 -0.666
Ru 0.000 0.000 0.000
Ru 1.924 -4.691 2.204
Sm 1.721 -6.432 -0.765
Sm 2.157 -2.415 0.032
Sm 4.590 -6.513 1.968
Sm 4.154 -10.530 1.171
O -0.313 -2.006 0.285
O 3.737 -4.222 1.372
O 5.207 -8.427 0.830
O 4.073 -6.279 -0.686
O 8.182 -8.427 0.370
O -0.024 -7.585 0.363
O -1.871 -4.518 0.833
O 6.624 -10.939 0.918
O 1.104 -4.518 0.373
O 6.335 -5.360 0.840
O 2.574 -8.723 -0.169
O 2.238 -6.665 1.889
```

Summary:
The space group is P2_1/c.

# SrNiRu5O11

A geometry-optimized SrNiRu5O11 structure (PBE with a Hubbard U, the Materials Project).

```
144
Lattice="-5.938 -10.316 0.000 -5.944 10.320 0.000 0.000 0.000 -13.367" Properties=species:S:1:pos:R:3 pbc="T T T"
O -5.943 1.757 -12.382
O -9.094 1.948 -7.831
O -7.541 -6.118 -7.612
O -7.464 0.994 -5.311
O -6.201 -8.523 -12.318
O -5.656 6.922 -12.214
O -8.805 -1.448 -5.539
O -1.421 -1.123 -12.323
O -9.094 1.948 -12.220
O -7.396 -4.276 -0.992
O -4.418 -0.990 -8.056
O -7.541 -6.118 -12.439
O -5.940 -1.754 -0.985
O -5.940 3.443 -1.068
O -2.829 -3.488 -7.626
O -7.297 5.985 -5.321
O -7.394 4.282 -12.375
O -8.807 -3.340 -8.063
O -5.656 6.922 -7.837
O -7.026 -1.086 -3.342
O -4.857 1.089 -10.025
O -7.464 0.994 -1.373
O -6.226 -6.918 -1.153
O -4.585 -5.982 -12.004
O -5.940 3.443 -5.616
O -4.438 5.566 -10.025
O -6.348 -1.529 -10.025
O -6.201 -8.523 -7.733
O -4.342 6.121 -0.929
O -4.342 6.121 -5.755
O -2.984 3.438 -10.025
O -7.426 0.865 -10.025
O -9.053 3.491 -0.942
O -10.461 1.126 -1.044
O -4.488 -4.279 -5.691
O -2.788 -1.944 -5.536
O -5.629 8.832 -10.025
O -3.077 1.451 -7.828
O -8.807 -3.340 -11.988
O -1.421 -1.123 -7.728
O -2.788 -1.944 -1.147
O -9.053 3.491 -5.741
O -5.681 8.526 -5.634
O -5.534 1.532 -3.342
O -10.202 -0.668 -7.732
O -4.418 -0.990 -11.995
O -7.454 -0.711 -7.626
O -10.439 -0.464 -3.342
O -7.454 -0.711 -12.425
O -7.297 5.985 -1.363
O -4.101 -4.015 -10.025
O -7.394 4.282 -7.676
O -10.461 1.126 -5.639
O -3.076 3.344 -5.304
O -2.829 -3.488 -12.425
O -5.942 -3.439 -7.751
O -3.077 1.451 -12.222
O -7.781 4.018 -3.342
O -8.805 -1.448 -1.145
O -7.444 -5.563 -3.342
O -4.455 -6.008 -3.342
O -4.585 -5.982 -8.046
O -7.396 -4.276 -5.691
O -1.131 -1.002 -3.342
O -7.428 6.012 -10.025
O -4.456 -0.862 -3.342
O -3.344 -3.676 -3.342
O -1.444 0.468 -10.025
O -8.898 -3.434 -3.342
O -4.429 0.715 -5.741
O -3.076 3.344 -1.379
O -6.253 -8.829 -3.342
O -4.487 4.280 -12.375
O -10.751 1.005 -10.025
O -1.681 0.672 -5.635
O -1.681 0.672 -1.048
O -4.488 -4.279 -0.992
O -5.940 -1.754 -5.698
O -5.942 -3.439 -12.299
O -8.539 3.679 -10.025
O -5.943 1.757 -7.669
O -6.226 -6.918 -5.530
O -4.429 0.715 -0.942
O -10.202 -0.668 -12.319
O -4.553 4.823 -3.342
O -4.487 4.280 -7.676
O -7.329 -4.819 -10.025
O -5.681 8.526 -1.049
Ni -5.963 -3.428 -10.025
Ni -3.018 1.517 -10.025
Ni -5.743 6.938 -10.025
Ni -9.064 1.866 -10.025
Ni -5.919 3.431 -3.342
Ni -2.818 -1.862 -3.342
Ni -6.139 -6.935 -3.342
Ni -8.864 -1.514 -3.342
Sr -2.983 1.434 -3.342
Sr -9.120 1.878 -3.342
Sr -5.941 -3.447 -3.342
Sr -8.899 -1.430 -10.025
Sr -5.719 7.012 -3.342
Sr -2.763 -1.875 -10.025
Sr -5.942 3.451 -10.025
Sr -6.163 -7.009 -10.025
Ru -6.045 0.056 -8.769
Ru -11.880 0.007 -4.709
Ru -7.507 -2.518 -13.326
Ru -8.932 -5.036 -4.594
Ru -4.701 -7.521 -6.746
Ru -5.953 -5.258 -13.331
Ru -11.880 0.007 -1.975
Ru -8.932 -5.036 -2.090
Ru -4.363 -2.539 -6.722
Ru -0.003 -0.004 -8.658
Ru -5.837 -0.053 -4.598
Ru -8.844 0.322 -0.065
Ru -4.701 -7.521 -13.304
Ru -2.951 5.039 -11.277
Ru -10.087 -2.472 -6.755
Ru -7.507 -2.518 -6.724
Ru -4.376 2.522 -6.643
Ru -4.376 2.522 -0.041
Ru -7.520 2.543 -0.039
Ru -8.827 5.228 -8.774
Ru -7.520 2.543 -6.645
Ru -1.796 2.476 -0.072
Ru -8.827 5.228 -11.276
Ru -8.844 0.322 -6.618
Ru -5.929 5.262 -6.648
Ru -2.951 5.039 -8.773
Ru -5.929 5.262 -0.036
Ru -7.181 7.524 -0.063
Ru -3.055 -5.224 -4.593
Ru -5.837 -0.053 -2.086
Ru -1.796 2.476 -6.612
Ru -6.045 0.056 -11.282
Ru -3.055 -5.224 -2.091
Ru -0.003 -0.004 -11.392
Ru -10.087 -2.472 -13.295
Ru -3.038 -0.319 -13.302
Ru -3.038 -0.319 -6.749
Ru -7.181 7.524 -6.621
Ru -4.363 -2.539 -13.328
Ru -5.953 -5.258 -6.719
```

Summary:
The space group is P2_1/m.

# Tm2NiRuO6

A geometry-optimized Tm2NiRuO6 structure (PBE with a Hubbard U, the Materials Project).

```
20
Lattice="-3.809 -4.086 1.008 3.792 -3.600 -0.263 4.954 -2.831 7.242" Properties=species:S:1:pos:R:3 pbc="T T T"
O 2.978 -7.326 7.531
O 2.329 -2.921 3.246
O 4.401 -4.772 6.975
O -0.413 -3.385 2.360
O 4.382 -4.098 1.607
O 0.556 -6.419 6.381
O 2.608 -7.595 4.741
O 3.959 -5.119 4.205
O 0.537 -5.744 1.013
O 5.350 -7.132 5.627
O 1.960 -3.190 0.457
O 0.979 -5.397 3.783
Tm 2.556 -5.488 5.924
Tm 2.381 -5.028 2.064
Tm 6.159 -5.048 5.341
Tm -1.222 -5.468 2.647
Ru 0.000 0.000 0.000
Ru 0.573 -3.458 4.125
Ni -0.008 -3.843 0.373
Ni 4.373 -3.215 3.490
```

Summary:
The space group is P2_1/c.

# NiSO5

A geometry-optimized NiSO5 structure (PBE with a Hubbard U, the Materials Project).

```
14
Lattice="0.235 2.721 -4.431 5.016 -1.367 0.260 -3.868 -6.055 -1.335" Properties=species:S:1:pos:R:3 pbc="T T T"
O -0.625 -2.008 -4.613
O -0.835 -2.981 -2.388
O 1.566 -0.353 -1.262
O 2.008 -2.693 -0.892
O -0.352 0.883 -4.393
O -2.476 -3.540 -4.062
O 2.218 -1.720 -3.118
O 1.736 -5.584 -1.113
O -0.183 -4.348 -4.244
O 3.859 -1.161 -1.444
S 2.420 -1.488 -1.672
S -1.037 -3.213 -3.833
Ni 0.000 0.000 0.000
Ni -1.934 -3.028 -0.667
```

Summary:
The space group is C2/c.

# YNiSO7

A geometry-optimized YNiSO7 structure (PBE with a Hubbard U, the Materials Project).

```
40
Lattice="0.000 6.034 0.000 0.000 0.000 6.230 14.191 0.000 0.000" Properties=species:S:1:pos:R:3 pbc="T T T"
O 2.676 5.998 0.421
O 2.106 2.266 0.896
O 7.320 0.083 3.353
O 0.349 5.849 2.853
O 13.967 5.952 0.238
O 1.619 1.337 4.927
O 13.842 2.831 0.262
O 4.419 0.036 3.536
O 4.990 3.768 4.011
O 6.746 0.186 5.968
O 13.195 1.316 4.289
O 10.276 4.800 3.702
O 11.011 1.234 0.587
O 8.092 4.719 1.174
O 9.202 0.751 5.334
O 12.573 4.354 4.419
O 0.224 2.934 2.877
O 0.996 4.333 5.056
O 5.477 4.697 1.812
O 6.872 3.100 5.992
O 3.181 4.251 2.528
O 7.445 3.203 3.377
O 3.915 1.783 5.643
O 9.772 3.053 5.810
O 6.099 1.702 1.941
O 12.085 5.284 2.219
O 11.515 2.981 2.695
O 8.714 1.680 1.304
Y 1.225 4.370 1.281
Y 5.870 1.664 4.396
Y 12.966 1.353 1.834
Y 8.321 4.682 4.949
Ni 7.078 0.176 1.545
Ni 14.173 2.841 4.685
Ni 7.114 3.193 1.570
Ni 0.018 5.859 4.660
S 11.599 4.339 3.260
S 2.592 1.322 6.085
S 4.503 4.712 2.970
S 9.688 1.695 0.145
```

Summary:
The energy relative to the lowest polymorph listed for this composition is 0 meV/atom. The space group is P2_12_12_1.

# YNiSO7

A geometry-optimized YNiSO7 structure (PBE with a Hubbard U, the Materials Project).

```
40
Lattice="15.798 0.001 0.001 0.000 6.135 0.000 0.000 0.000 6.666" Properties=species:S:1:pos:R:3 pbc="T T T"
O 8.411 2.950 3.845
O 3.000 2.363 2.635
O 8.815 1.355 1.182
O 2.637 0.088 0.513
O 10.897 0.708 4.027
O 12.802 5.438 0.702
O 11.186 0.012 3.050
O 12.520 6.104 6.368
O 3.276 3.046 3.625
O 8.132 3.448 6.323
O 13.163 3.157 2.824
O 7.387 6.018 6.157
O 6.217 1.324 2.018
O 15.287 3.188 0.512
O 10.536 2.980 6.154
O 5.262 6.047 3.849
O 9.581 4.391 1.318
O 0.513 0.119 2.823
O 14.881 4.784 4.516
O 0.232 5.757 0.346
O 1.679 4.811 5.351
O 6.982 4.423 2.153
O 7.666 0.381 3.679
O 0.920 1.715 5.486
O 4.901 3.768 5.965
O 14.123 1.742 4.650
O 4.615 3.090 0.289
O 15.568 2.691 2.990
Ni 15.518 3.186 5.329
Ni 0.281 0.118 4.673
Ni 8.183 2.953 1.995
Ni 7.615 6.021 1.340
S 6.177 1.069 3.529
S 14.081 2.001 3.140
S 9.620 4.136 6.473
S 1.720 5.067 0.195
Y 8.840 1.432 5.499
Y 0.942 1.638 1.168
Y 6.958 4.500 4.503
Y 14.858 4.707 2.167
```

Summary:
The energy relative to the lowest polymorph listed for this composition is 599 meV/atom. The space group is P1.

Number 1: energy of formation -1.786 eV per atom. Number 2: energy of formation -2.627 eV per atom. Number 3: energy of formation -2.334 eV per atom. Number 4: energy of formation -2.608 eV per atom. Number 5: energy of formation -1.540 eV per atom. Number 6: energy of formation -2.675 eV per atom. Number 7: energy of formation -1.217 eV per atom. Number 8: energy of formation -1.878 eV per atom. Number 9: energy of formation -1.279 eV per atom.